NaSr8LaTi10O30 | the Materials Project database | GGA-PBE | optimized geometry; electronic total energy = -402.78 eV for the cell shown; SG = P4/mmm (123); total magnetic moment = 0.00 μB/f.u.; ΔE_f = -3524 meV per atom
1.0
5.552 0.000 0.000
0.000 5.552 0.000
0.000 0.000 19.659
Na Sr La Ti O
1 8 1 10 30
Direct
0.000 0.000 0.000
0.000 0.000 0.199
0.000 0.000 0.400
0.000 0.000 0.600
0.000 0.000 0.801
0.500 0.500 0.200
0.500 0.500 0.400
0.500 0.500 0.600
0.500 0.500 0.800
0.500 0.500 0.000
0.000 0.500 0.099
0.000 0.500 0.300
0.000 0.500 0.500
0.000 0.500 0.700
0.000 0.500 0.901
0.500 0.000 0.099
0.500 0.000 0.300
0.500 0.000 0.500
0.500 0.000 0.700
0.500 0.000 0.901
0.000 0.500 0.000
0.000 0.500 0.200
0.000 0.500 0.400
0.000 0.500 0.600
0.000 0.500 0.800
0.250 0.250 0.300
0.250 0.250 0.500
0.250 0.250 0.700
0.250 0.750 0.300
0.250 0.750 0.500
0.250 0.750 0.700
0.257 0.257 0.099
0.257 0.257 0.901
0.257 0.743 0.099
0.257 0.743 0.901
0.500 0.000 0.000
0.500 0.000 0.200
0.500 0.000 0.400
0.500 0.000 0.600
0.500 0.000 0.800
0.743 0.257 0.099
0.743 0.257 0.901
0.743 0.743 0.099
0.743 0.743 0.901
0.750 0.250 0.300
0.750 0.250 0.500
0.750 0.250 0.700
0.750 0.750 0.300
0.750 0.750 0.500
0.750 0.750 0.700